No. 1
Below is Li3Mn3O8 after structural relaxation, with properties calculated at the PBE+U level.

ΔE_f	-1977	meV per atom
space group	P4_332, No. 212
corrected total energy (MP2020 scheme)	-7.1769	eV/atom

Unit cell a=8.2751 b=8.2751 c=8.2751 alpha=90.00 beta=90.00 gamma=90.00
Element x y z (fractional)
O  0.4011  0.8699  0.8933
Li  0.0036  0.0036  0.0036
Li  0.2464  0.2464  0.2464
O  0.3699  0.6067  0.5989
O  0.3653  0.6347  0.1347
Mn  0.8750  0.8777  0.6277
O  0.6301  0.1067  0.9011
O  0.3567  0.3801  0.8489
Li  0.9964  0.5036  0.4964
O  0.1511  0.8567  0.1199
O  0.3801  0.8489  0.3567
O  0.6347  0.1347  0.3653
Mn  0.3723  0.3750  0.6223
O  0.6199  0.3489  0.1433
O  0.1433  0.6199  0.3489
Li  0.2536  0.7536  0.7464
O  0.8933  0.4011  0.8699
Li  0.8750  0.3750  0.1250
O  0.1347  0.3653  0.6347
Mn  0.6277  0.8750  0.8777
Mn  0.8777  0.6277  0.8750
Mn  0.3777  0.8723  0.1250
O  0.6153  0.8847  0.1153
Li  0.7464  0.2536  0.7536
Mn  0.6223  0.3723  0.3750
O  0.8801  0.6511  0.6433
O  0.5989  0.3699  0.6067
Li  0.7536  0.7464  0.2536
Mn  0.8723  0.1250  0.3777
Li  0.5036  0.4964  0.9964
O  0.1153  0.6153  0.8847
Mn  0.1250  0.3777  0.8723
Mn  0.1223  0.1277  0.6250
O  0.8489  0.3567  0.3801
O  0.6433  0.8801  0.6511
O  0.0989  0.1301  0.3933
Mn  0.6250  0.1223  0.1277
O  0.1067  0.9011  0.6301
O  0.6067  0.5989  0.3699
Li  0.1250  0.8750  0.3750
O  0.6511  0.6433  0.8801
O  0.1199  0.1511  0.8567
O  0.9011  0.6301  0.1067
Li  0.6250  0.6250  0.6250
O  0.8653  0.8653  0.8653
O  0.8567  0.1199  0.1511
Li  0.3750  0.1250  0.8750
Mn  0.3750  0.6223  0.3723
O  0.8847  0.1153  0.6153
Mn  0.1277  0.6250  0.1223
Li  0.4964  0.9964  0.5036
O  0.3847  0.3847  0.3847
O  0.8699  0.8933  0.4011
O  0.3933  0.0989  0.1301
O  0.1301  0.3933  0.0989
O  0.3489  0.1433  0.6199

---

No. 2
Below is Li9Mn5O12 after structural relaxation, with properties calculated at the PBE+U level.

ΔE_f	-2059	meV per atom
space group	C2/c, No. 15
corrected total energy (MP2020 scheme)	-6.7654	eV/atom

Unit cell a=6.5282 b=6.5281 c=12.5754 alpha=101.81 beta=78.19 gamma=78.26
Element x y z (fractional)
Li  0.5417  0.2084  0.9166
Mn  0.5417  0.7084  0.9167
Li  0.0417  0.7084  0.9167
Mn  0.8729  0.8791  0.2511
O  0.4717  0.7881  0.0832
O  0.1013  0.6263  0.7466
O  0.6539  0.1161  0.2421
O  0.9618  0.2782  0.5832
Mn  0.2106  0.5376  0.5822
Li  0.7410  0.0012  0.5727
O  0.6285  0.6056  0.2518
Li  0.9127  0.4135  0.7544
O  0.1443  0.1214  0.7518
Li  0.0824  0.3401  0.8978
O  0.9388  0.2951  0.0816
O  0.4547  0.8110  0.5816
Li  0.3427  0.4155  0.2606
Li  0.4262  0.0927  0.1667
O  0.2757  0.4546  0.4215
O  0.1236  0.6487  0.2466
Li  0.7489  0.0095  0.0728
O  0.1215  0.1384  0.2501
O  0.7878  0.9423  0.9118
O  0.7809  0.4786  0.9224
O  0.4294  0.3006  0.5912
O  0.9821  0.7904  0.0867
Mn  0.3967  0.8930  0.7488
Mn  0.8709  0.8772  0.7511
Mn  0.2264  0.0634  0.5846
Li  0.6572  0.3238  0.6667
Li  0.0416  0.7081  0.4166
O  0.4494  0.3205  0.0912
Mn  0.8569  0.3533  0.2488
O  0.8121  0.4478  0.4109
Li  0.1706  0.0033  0.0789
O  0.6339  0.0960  0.7421
Li  0.4099  0.6676  0.3979
O  0.3022  0.9379  0.9109
Li  0.0008  0.0766  0.9354
Mn  0.2124  0.5395  0.0822
O  0.9597  0.7679  0.5867
O  0.6116  0.6285  0.7501
Li  0.3365  0.8373  0.2545
Li  0.5416  0.2083  0.4167
O  0.8077  0.9621  0.4118
Li  0.7467  0.5794  0.5789
O  0.2954  0.4743  0.9215
Mn  0.6865  0.5236  0.0846
Li  0.6734  0.7492  0.4355
O  0.2714  0.9691  0.4224
Mn  0.0418  0.2084  0.4167
Li  0.3346  0.4076  0.7606

---

No. 3
Below is Li7Mn10O20 after structural relaxation, with properties calculated at the PBE+U level.

ΔE_f	-1605	meV per atom
space group	P1, No. 1
corrected total energy (MP2020 scheme)	-7.1171	eV/atom

Unit cell a=5.7167 b=6.1242 c=12.3420 alpha=94.39 beta=92.13 gamma=116.25
Element x y z (fractional)
Li  0.1128  0.5567  0.4139
Li  0.1814  0.1653  0.9911
Li  0.7444  0.8671  0.3285
Mn  0.8779  0.0005  0.7876
O  0.5733  0.4356  0.0128
Li  0.3763  0.0261  0.7972
O  0.2270  0.1761  0.1832
O  0.0126  0.7651  0.7404
Mn  0.9854  0.3046  0.2271
Mn  0.4784  0.5826  0.8869
O  0.8014  0.4953  0.2796
O  0.7373  0.2095  0.8597
O  0.5087  0.7424  0.7576
O  0.0105  0.3765  0.0597
O  0.8164  0.4629  0.5687
Li  0.6248  0.5181  0.4402
Mn  0.1589  0.1358  0.5100
O  0.8344  0.8549  0.9469
O  0.9063  0.7251  0.2261
O  0.3187  0.8253  0.9667
O  0.9878  0.8062  0.4663
O  0.3381  0.5335  0.5316
Mn  0.6644  0.0992  0.0110
O  0.2245  0.2635  0.8334
Mn  0.1714  0.7069  0.6144
Mn  0.3086  0.9448  0.2517
O  0.9174  0.1783  0.4076
O  0.3940  0.0679  0.6129
O  0.6449  0.0235  0.1701
O  0.9086  0.1069  0.6199
O  0.4271  0.1520  0.4091
Li  0.9339  0.4196  0.7543
O  0.3308  0.6393  0.2832
Mn  0.9589  0.6283  0.9947
Li  0.6130  0.5951  0.6424
Mn  0.6708  0.1391  0.5197
Mn  0.5005  0.5345  0.1596

---

No. 4
Below is Li2MnO2 after structural relaxation, with properties calculated at the PBE+U level.

ΔE_f	-2022	meV per atom
space group	P-3m1, No. 164
corrected total energy (MP2020 scheme)	-6.5973	eV/atom

Unit cell a=3.2260 b=3.2260 c=5.3340 alpha=90.00 beta=90.00 gamma=120.00
Element x y z (fractional)
Mn  0.0000  0.0000  0.0000
Li  0.3333  0.6667  0.6317
Li  0.6667  0.3333  0.3683
O  0.3333  0.6667  0.2462
O  0.6667  0.3333  0.7538

---

No. 5
Below is Li5Mn4O8 after structural relaxation, with properties calculated at the PBE+U level.

ΔE_f	-2051	meV per atom
space group	C2/m, No. 12
corrected total energy (MP2020 scheme)	-7.0970	eV/atom

Unit cell a=5.8073 b=10.5385 c=6.3320 alpha=95.61 beta=62.70 gamma=105.99
Element x y z (fractional)
Mn  0.0000  0.5000  0.0000
Mn  0.5000  0.2508  0.2507
O  0.2581  0.1169  0.1199
Li  0.0000  0.2500  0.7500
O  0.2467  0.3824  0.8891
O  0.7534  0.6176  0.1109
O  0.7419  0.8831  0.8801
O  0.2467  0.8822  0.3889
Mn  0.5000  0.5000  0.5000
O  0.2610  0.1234  0.6016
O  0.7420  0.3831  0.3802
Li  0.9175  0.9066  0.0717
O  0.7390  0.3766  0.8985
O  0.7388  0.1169  0.1199
O  0.2612  0.8831  0.8801
Li  0.9174  0.4065  0.5717
Mn  0.5000  0.0000  0.0000
Li  0.5000  0.7500  0.2500
Li  0.0000  0.7500  0.7500
Mn  0.5000  0.5000  0.0000
O  0.7533  0.1178  0.6111
Li  0.0000  0.2500  0.2500
Mn  0.0000  0.0000  0.5000
Li  0.0000  0.7500  0.2500
Li  0.0825  0.0934  0.9283
Li  0.5000  0.2500  0.7500
Mn  0.5000  0.7492  0.7493
O  0.2609  0.3831  0.3803
Mn  0.5000  0.0000  0.5000
O  0.2580  0.6169  0.6198
Li  0.0826  0.5935  0.4283
O  0.7391  0.6168  0.6197
O  0.7390  0.8766  0.3984
O  0.2610  0.6234  0.1015

---

No. 6
Below is LiMn5O10 after structural relaxation, with properties calculated at the PBE+U level.

ΔE_f	-1834	meV per atom
space group	P-1, No. 2
corrected total energy (MP2020 scheme)	-7.9086	eV/atom

Unit cell a=5.0258 b=7.6744 c=10.1695 alpha=74.41 beta=81.98 gamma=71.88
Element x y z (fractional)
O  0.9663  0.8704  0.6077
O  0.9110  0.5359  0.3863
O  0.8864  0.5308  0.8928
O  0.7943  0.2245  0.6230
O  0.8014  0.2252  0.1195
O  0.0890  0.4641  0.6137
Li  0.6919  0.4595  0.7521
Mn  0.0011  0.0032  0.2495
Mn  0.6914  0.1068  0.0049
O  0.2057  0.7755  0.3770
Mn  0.9989  0.9968  0.7505
O  0.1136  0.4692  0.1072
O  0.0308  0.1323  0.8896
O  0.3488  0.0598  0.6047
Mn  0.1043  0.3110  0.4992
O  0.9692  0.8677  0.1104
Mn  0.8957  0.6890  0.5008
O  0.5427  0.6826  0.0999
O  0.6498  0.9361  0.8965
Li  0.3081  0.5405  0.2479
O  0.1986  0.7748  0.8805
O  0.0337  0.1296  0.3923
Mn  0.6874  0.1086  0.5040
Mn  0.3126  0.8914  0.4960
O  0.4447  0.3203  0.4035
Mn  0.3086  0.8932  0.9951
O  0.5553  0.6797  0.5965
Mn  0.8861  0.6867  0.0028
O  0.4573  0.3174  0.9001
O  0.3502  0.0639  0.1035
Mn  0.1139  0.3133  0.9972
O  0.6512  0.9402  0.3953

---

No. 7
Below is LiMn16O32 after structural relaxation, with properties calculated at the PBE+U level.

ΔE_f	-1837	meV per atom
space group	Pm, No. 6
corrected total energy (MP2020 scheme)	-8.0985	eV/atom

Unit cell a=5.8797 b=9.9076 c=9.9586 alpha=89.78 beta=90.00 gamma=90.00
Element x y z (fractional)
O  0.0000  0.9574  0.6610
Mn  0.5000  0.1520  0.6645
Mn  0.0000  0.6666  0.8470
O  0.0000  0.6650  0.0401
Mn  0.2506  0.3485  0.8311
Mn  0.0000  0.8486  0.3331
O  0.2500  0.8302  0.4562
O  0.2492  0.4561  0.1624
O  0.5000  0.3349  0.9542
Mn  0.2507  0.1675  0.3481
O  0.2497  0.7957  0.8410
Mn  0.2509  0.6505  0.1630
O  0.0000  0.0425  0.3380
O  0.0000  0.3343  0.9538
Mn  0.2503  0.8338  0.6487
O  0.7501  0.1560  0.7930
O  0.7511  0.8424  0.2036
O  0.7503  0.2032  0.1549
Mn  0.0000  0.3315  0.1461
O  0.0000  0.3457  0.7006
O  0.2497  0.2032  0.1549
O  0.5000  0.6507  0.2913
O  0.0000  0.3038  0.3421
Mn  0.0000  0.1515  0.6645
Mn  0.7494  0.3485  0.8311
O  0.5000  0.7043  0.6536
O  0.5000  0.6651  0.0397
O  0.5000  0.3452  0.7021
O  0.5000  0.0418  0.3378
O  0.7501  0.5430  0.8320
Mn  0.7497  0.8338  0.6487
Mn  0.7493  0.1675  0.3481
O  0.0000  0.6477  0.2954
Mn  0.5000  0.3321  0.1489
O  0.2489  0.8424  0.2036
O  0.2501  0.1696  0.5417
O  0.7503  0.7957  0.8410
O  0.2499  0.1560  0.7930
Li  0.0000  0.4891  0.4216
O  0.5000  0.2986  0.3409
O  0.7508  0.4561  0.1624
Mn  0.5000  0.6667  0.8463
O  0.5000  0.9575  0.6613
Mn  0.7491  0.6505  0.1630
O  0.7499  0.1696  0.5417
O  0.7500  0.8302  0.4562
O  0.2499  0.5430  0.8320
O  0.0000  0.7030  0.6529
Mn  0.5000  0.8474  0.3322

---

No. 8
Below is Li4Mn3O7 after structural relaxation, with properties calculated at the PBE+U level.

ΔE_f	-2143	meV per atom
space group	P-1, No. 2
corrected total energy (MP2020 scheme)	-7.1259	eV/atom

Unit cell a=5.3189 b=5.9956 c=8.6919 alpha=91.67 beta=93.91 gamma=110.30
Element x y z (fractional)
Li  0.0000  0.0000  0.5000
Mn  0.1412  0.7817  0.7826
O  0.1656  0.0477  0.2852
O  0.5975  0.9058  0.1362
O  0.3143  0.3348  0.5655
Li  0.8549  0.7145  0.2153
Li  0.1451  0.2855  0.7847
O  0.9749  0.2371  0.0027
O  0.8426  0.4975  0.7100
O  0.8344  0.9523  0.7148
O  0.6857  0.6652  0.4345
Li  0.4219  0.8512  0.3617
O  0.4512  0.6172  0.8494
O  0.0251  0.7629  0.9973
Li  0.5781  0.1488  0.6383
Mn  0.2856  0.0705  0.0721
Li  0.2856  0.5707  0.0746
Mn  0.4293  0.3582  0.3586
O  0.6931  0.1994  0.4109
Li  0.0000  0.5000  0.5000
O  0.3069  0.8006  0.5891
Mn  0.5707  0.6418  0.6414
Mn  0.8588  0.2183  0.2174
Li  0.7144  0.4293  0.9254
O  0.4025  0.0942  0.8638
O  0.5488  0.3828  0.1506
Mn  0.7144  0.9295  0.9279
O  0.1574  0.5025  0.2900